# 1
# Na4AlSi2GePO12 PBE relaxed
# **DFT total energy**: -138.056 eV/f.u.
# **Total magnetization**: 0.000 μB per atom
data_Na4AlSi2GePO12
_chemical_formula_sum 'Na24 Al6 Si12 Ge6 P6 O72'
_cell_length_a 8.757
_cell_length_b 8.757
_cell_length_c 21.602
_cell_angle_alpha 90.69
_cell_angle_beta 89.31
_cell_angle_gamma 120.08
_space_group_name_H-M_alt 'P 1'
_space_group_IT_number 1
_space_group_name_Hall 'P 1'
loop_
_atom_site_label
_atom_site_type_symbol
_atom_site_fract_x
_atom_site_fract_y
_atom_site_fract_z
_atom_site_occupancy
O1 O 0.178 0.487 0.257 1
O2 O 0.967 0.165 0.311 1
O3 O 0.300 0.831 0.977 1
O4 O 0.377 0.872 0.856 1
O5 O 0.308 0.487 0.757 1
Si1 Si 0.712 0.003 0.752 1
O6 O 0.461 0.172 0.522 1
P1 P 0.622 0.668 0.918 1
Na1 Na 0.705 0.672 0.417 1
Na2 Na 0.633 0.632 0.748 1
O7 O 0.834 0.027 0.088 1
O8 O 0.513 0.822 0.757 1
Si2 Si 0.046 0.669 0.418 1
P2 P 0.289 0.001 0.251 1
Si3 Si 0.957 0.622 0.084 1
Na3 Na 0.966 0.299 0.415 1
O9 O 0.710 0.539 0.522 1
O10 O 0.807 0.831 0.910 1
Ge1 Ge 0.665 0.331 0.982 1
Na4 Na 0.665 0.696 0.084 1
O11 O 0.870 0.496 0.143 1
O12 O 0.837 0.797 0.310 1
Si4 Si 0.290 0.289 0.751 1
Na5 Na 0.665 0.329 0.832 1
Na6 Na 0.701 0.034 0.915 1
O13 O 0.168 0.694 0.755 1
O14 O 0.846 0.489 0.423 1
O15 O 0.461 0.290 0.022 1
Si5 Si 0.331 0.954 0.918 1
O16 O 0.352 0.847 0.577 1
Na7 Na 0.332 0.030 0.417 1
O17 O 0.634 0.498 0.644 1
Si6 Si 0.664 0.621 0.585 1
O18 O 0.361 0.511 0.076 1
O19 O 0.537 0.830 0.476 1
O20 O 0.180 0.155 0.090 1
Si7 Si 0.623 0.956 0.418 1
O21 O 0.170 0.463 0.976 1
O22 O 0.695 0.178 0.743 1
Al1 Al 0.673 0.343 0.186 1
O23 O 0.820 0.981 0.410 1
O24 O 0.028 0.844 0.410 1
O25 O 0.538 0.703 0.975 1
Al2 Al 0.006 0.010 0.853 1
Si8 Si 0.379 0.336 0.085 1
O26 O 0.835 0.033 0.811 1
O27 O 0.162 0.206 0.689 1
Si9 Si 0.044 0.377 0.918 1
O28 O 0.511 0.154 0.923 1
Na8 Na 0.299 0.965 0.081 1
O29 O 0.019 0.180 0.910 1
Na9 Na 0.998 0.363 0.751 1
O30 O 0.156 0.972 0.910 1
O31 O 0.846 0.359 0.924 1
Na10 Na 0.331 0.663 0.165 1
O32 O 0.973 0.166 0.588 1
O33 O 0.205 0.037 0.308 1
Na11 Na 0.970 0.668 0.917 1
O34 O 0.872 0.370 0.641 1
O35 O 0.974 0.821 0.091 1
O36 O 0.487 0.314 0.744 1
O37 O 0.495 0.872 0.356 1
O38 O 0.502 0.366 0.144 1
Na12 Na 0.637 0.002 0.251 1
Si10 Si 0.378 0.043 0.584 1
O39 O 0.128 0.623 0.356 1
Ge2 Ge 0.669 0.335 0.482 1
O40 O 0.828 0.539 0.022 1
O41 O 0.489 0.639 0.576 1
O42 O 0.501 0.361 0.422 1
O43 O 0.822 0.305 0.243 1
O44 O 0.641 0.154 0.424 1
Na13 Na 0.337 0.669 0.665 1
O45 O 0.203 0.163 0.810 1
O46 O 0.686 0.513 0.244 1
Na14 Na 0.995 0.629 0.250 1
O47 O 0.504 0.626 0.859 1
Al3 Al 0.340 0.676 0.519 1
O48 O 0.044 0.205 0.189 1
Al4 Al 0.657 0.327 0.686 1
Na15 Na 0.662 0.962 0.583 1
Si11 Si 0.997 0.288 0.252 1
Na16 Na 0.004 0.002 0.999 1
Na17 Na 0.998 0.996 0.499 1
O49 O 0.630 0.128 0.141 1
Na18 Na 0.304 0.335 0.584 1
O50 O 0.474 0.164 0.243 1
O51 O 0.513 0.692 0.257 1
O52 O 0.040 0.830 0.692 1
O53 O 0.297 0.462 0.475 1
Ge3 Ge 0.999 0.998 0.649 1
Ge4 Ge 0.336 0.668 0.815 1
Na19 Na 0.038 0.338 0.083 1
O54 O 0.794 0.838 0.189 1
P3 P 0.665 0.045 0.084 1
O55 O 0.306 0.832 0.255 1
O56 O 0.128 0.505 0.856 1
O57 O 0.504 0.130 0.643 1
P4 P 0.999 0.711 0.751 1
O58 O 0.639 0.499 0.922 1
Na20 Na 0.371 0.005 0.750 1
O59 O 0.963 0.795 0.808 1
O60 O 0.836 0.526 0.743 1
Ge5 Ge 0.002 0.001 0.149 1
O61 O 0.179 0.026 0.591 1
O62 O 0.707 0.163 0.025 1
O63 O 0.169 0.700 0.477 1
Na21 Na 0.035 0.701 0.581 1
Al5 Al 0.990 0.994 0.353 1
O64 O 0.141 0.497 0.576 1
Na22 Na 0.368 0.367 0.248 1
O65 O 0.170 0.960 0.192 1
Na23 Na 0.671 0.335 0.332 1
O66 O 0.153 0.648 0.077 1
O67 O 0.845 0.820 0.590 1
O68 O 0.169 0.193 0.410 1
P5 P 0.332 0.378 0.418 1
Al6 Al 0.324 0.660 0.019 1
Ge6 Ge 0.332 0.664 0.315 1
O69 O 0.374 0.496 0.359 1
O70 O 0.503 0.859 0.076 1
O71 O 0.795 0.956 0.689 1
P6 P 0.955 0.335 0.584 1
Si12 Si 0.711 0.710 0.251 1
O72 O 0.837 0.293 0.525 1
Na24 Na 0.328 0.295 0.917 1

***

# 2
# Na3AlSiGeP2O12 PBE relaxed
# **DFT total energy**: -133.646 eV/f.u.
# **Total magnetization**: 0.000 μB per atom
data_Na3AlSiGeP2O12
_chemical_formula_sum 'Na12 Al4 Si4 Ge4 P8 O48'
_cell_length_a 14.942
_cell_length_b 8.683
_cell_length_c 8.763
_cell_angle_alpha 90.00
_cell_angle_beta 125.20
_cell_angle_gamma 90.00
_space_group_name_H-M_alt 'P 1'
_space_group_IT_number 1
_space_group_name_Hall 'P 1'
loop_
_atom_site_label
_atom_site_type_symbol
_atom_site_fract_x
_atom_site_fract_y
_atom_site_fract_z
_atom_site_occupancy
O1 O 0.636 0.852 0.919 1
O2 O 0.578 0.639 0.241 1
O3 O 0.567 0.561 0.932 1
O4 O 0.567 0.439 0.432 1
O5 O 0.925 0.939 0.075 1
O6 O 0.858 0.635 0.082 1
O7 O 0.078 0.861 0.741 1
O8 O 0.752 0.328 0.735 1
P1 P 0.356 0.890 0.758 1
O9 O 0.957 0.323 0.936 1
O10 O 0.647 0.079 0.733 1
O11 O 0.252 0.172 0.235 1
O12 O 0.358 0.135 0.082 1
O13 O 0.636 0.148 0.419 1
O14 O 0.539 0.189 0.056 1
O15 O 0.851 0.429 0.265 1
O16 O 0.039 0.311 0.556 1
O17 O 0.750 0.194 0.268 1
O18 O 0.351 0.929 0.265 1
P2 P 0.498 0.537 0.256 1
Na1 Na 0.751 0.227 0.997 1
O19 O 0.425 0.561 0.575 1
O20 O 0.136 0.352 0.919 1
Na2 Na 0.004 0.384 0.259 1
Na3 Na 0.688 0.564 0.775 1
O21 O 0.147 0.579 0.733 1
Si1 Si 0.145 0.394 0.751 1
O22 O 0.578 0.361 0.741 1
O23 O 0.425 0.439 0.075 1
O24 O 0.858 0.365 0.582 1
O25 O 0.078 0.139 0.241 1
Na4 Na 0.751 0.773 0.497 1
Na5 Na 0.504 0.884 0.259 1
O26 O 0.539 0.811 0.556 1
O27 O 0.358 0.865 0.582 1
O28 O 0.415 0.646 0.257 1
O29 O 0.925 0.061 0.575 1
Al1 Al 0.106 0.258 0.065 1
O30 O 0.915 0.854 0.757 1
O31 O 0.957 0.677 0.436 1
P3 P 0.856 0.610 0.258 1
O32 O 0.752 0.672 0.235 1
Na6 Na 0.688 0.436 0.275 1
Si2 Si 0.645 0.894 0.751 1
O33 O 0.647 0.921 0.233 1
O34 O 0.851 0.571 0.765 1
O35 O 0.147 0.421 0.233 1
Al2 Al 0.106 0.742 0.565 1
O36 O 0.252 0.828 0.735 1
P4 P 0.998 0.963 0.756 1
Ge1 Ge 0.897 0.241 0.441 1
O37 O 0.915 0.146 0.257 1
Ge2 Ge 0.397 0.259 0.941 1
P5 P 0.856 0.390 0.758 1
Si3 Si 0.145 0.606 0.251 1
O38 O 0.067 0.939 0.432 1
O39 O 0.415 0.354 0.757 1
Na7 Na 0.188 0.064 0.775 1
O40 O 0.457 0.177 0.436 1
Al3 Al 0.606 0.758 0.065 1
O41 O 0.039 0.689 0.056 1
Na8 Na 0.504 0.116 0.759 1
Na9 Na 0.188 0.936 0.275 1
Ge3 Ge 0.397 0.741 0.441 1
O42 O 0.750 0.806 0.768 1
Na10 Na 0.251 0.273 0.497 1
P6 P 0.498 0.463 0.756 1
Si4 Si 0.645 0.106 0.251 1
Na11 Na 0.004 0.616 0.759 1
O43 O 0.250 0.306 0.768 1
Na12 Na 0.251 0.727 0.997 1
Ge4 Ge 0.897 0.759 0.941 1
O44 O 0.136 0.648 0.419 1
Al4 Al 0.606 0.242 0.565 1
P7 P 0.998 0.037 0.256 1
O45 O 0.351 0.071 0.765 1
O46 O 0.250 0.694 0.268 1
O47 O 0.457 0.823 0.936 1
P8 P 0.356 0.110 0.258 1
O48 O 0.067 0.061 0.932 1

***

# 3
# Rb2Na2Al3Ge3O12 PBE relaxed
# **DFT total energy**: -136.347 eV/f.u.
# **Total magnetization**: 0.000 μB per atom
# **Space-group type**: Pmn2_1, No. 31
data_Rb2Na2Al3Ge3O12
_chemical_formula_sum 'Rb4 Na4 Al6 Ge6 O24'
_cell_length_a 5.388
_cell_length_b 8.501
_cell_length_c 15.829
_cell_angle_alpha 90.00
_cell_angle_beta 90.00
_cell_angle_gamma 90.00
_space_group_name_H-M_alt 'P 1'
_space_group_IT_number 1
_space_group_name_Hall 'P 1'
loop_
_atom_site_label
_atom_site_type_symbol
_atom_site_fract_x
_atom_site_fract_y
_atom_site_fract_z
_atom_site_occupancy
O1 O 0.010 0.426 0.500 1
Na1 Na 0.796 0.179 0.500 1
O2 O 0.341 0.159 0.251 1
O3 O 0.012 0.056 0.388 1
Ge1 Ge 0.837 0.608 0.000 1
O4 O 0.432 0.277 0.589 1
Na2 Na 0.796 0.185 0.000 1
O5 O 0.012 0.056 0.612 1
O6 O 0.511 0.569 0.500 1
Al1 Al 0.822 0.895 0.141 1
O7 O 0.841 0.841 0.249 1
Na3 Na 0.296 0.815 0.500 1
O8 O 0.432 0.277 0.411 1
Na4 Na 0.296 0.821 0.000 1
Ge2 Ge 0.337 0.392 0.500 1
O9 O 0.009 0.061 0.887 1
O10 O 0.509 0.939 0.387 1
Al2 Al 0.322 0.105 0.359 1
Al3 Al 0.337 0.395 0.000 1
Rb1 Rb 0.810 0.324 0.259 1
O11 O 0.433 0.282 0.090 1
Al4 Al 0.322 0.105 0.641 1
O12 O 0.510 0.574 0.000 1
Al5 Al 0.822 0.895 0.859 1
Rb2 Rb 0.810 0.324 0.741 1
O13 O 0.512 0.944 0.888 1
O14 O 0.933 0.718 0.410 1
Ge3 Ge 0.322 0.111 0.858 1
O15 O 0.841 0.841 0.751 1
Rb3 Rb 0.310 0.676 0.759 1
O16 O 0.009 0.061 0.113 1
O17 O 0.933 0.718 0.590 1
O18 O 0.509 0.939 0.613 1
O19 O 0.932 0.723 0.089 1
Ge4 Ge 0.822 0.889 0.642 1
Al6 Al 0.837 0.605 0.500 1
O20 O 0.433 0.282 0.910 1
O21 O 0.512 0.944 0.112 1
O22 O 0.932 0.723 0.911 1
Ge5 Ge 0.322 0.111 0.142 1
O23 O 0.011 0.431 0.000 1
Ge6 Ge 0.822 0.889 0.358 1
O24 O 0.341 0.159 0.749 1
Rb4 Rb 0.310 0.676 0.241 1

***

Question: What is the formula in the second record?
Answer: Na3AlSiGeP2O12

***

Question: total magnetization of number 2 (Na3AlSiGeP2O12)?
Answer: 0.000 μB per atom

***

Question: What is the formula in the first record?
Answer: Na4AlSi2GePO12